This record from the Materials Project database describes an optimized crystal structure of Fe2CuH4O2F8. The functional is PBE with a Hubbard U.

Lattice parameters (Å, degrees): 7.6360 7.6417 13.1984 90.00 90.62 90.00
Closest atoms and distances in Å follow each position.
Space group C2/c (No. 15)
Unique sites:
Fe 0.2502 0.0442 0.2472 (multiplicity 8)  6 F 1.93-1.99
Cu 0.2500 0.2500 0.5000 (multiplicity 4)  2 F 1.93, 2 O 1.95
H 0.0764 0.3331 0.9592 (multiplicity 8)  1 O 0.99
H 0.0806 0.1710 0.0380 (multiplicity 8)  1 O 0.98
O 0.0047 0.2499 0.9982 (multiplicity 8)  2 H 0.98-0.99
F 0.0000 0.0084 0.7500 (multiplicity 4)  2 Fe 1.95
F 0.0000 0.3986 0.7500 (multiplicity 4)  2 Fe 1.96
F 0.1956 0.2970 0.2319 (multiplicity 8)  2 Fe 1.95-1.99
F 0.2466 0.0772 0.3938 (multiplicity 8)  1 Cu 1.93, 1 Fe 1.95
F 0.2470 0.4673 0.8992 (multiplicity 8)  2 H 1.84-1.87, 1 Fe 1.93

Computed properties:
Energy relative to the elements (eV per formula unit): -34.3
Uncorrected energy (Ha/atom): -0.1827